Entry from Materials Project: PrCrO4 after structural relaxation (r²SCAN).

Cell: 6.1322 6.1322 6.1323 Å, 106.04 106.04 116.57°
Closest atoms and distances in Å follow each position.
Fractional positions:
O 0.3265 0.5089 0.1723  1 Cr 1.70
O 0.4042 0.0765 0.3176  1 Cr 1.70
O 0.9235 0.5958 0.6824  1 Cr 1.70
O 0.3366 0.1542 0.8277  1 Cr 1.70
O 0.4911 0.6735 0.8277  1 Cr 1.70
O 0.8458 0.6634 0.1723  1 Cr 1.70
O 0.7589 0.0866 0.6824  1 Cr 1.70
O 0.9134 0.2411 0.3176  1 Cr 1.70
Pr 0.2500 0.7500 0.5000  8 O 2.44-2.51
Pr 0.0000 0.0000 0.0000  8 O 2.44-2.51
Cr 0.7500 0.2500 0.5000  4 O 1.70
Cr 0.5000 0.5000 0.0000  4 O 1.70

Values from the calculation:
Formation enthalpy at 0 K in kJ per mole of atoms: -269
VASP energy in eV per atom: -14.181